1.
# Li24Ti5Cr7O36

Crystalline Li24Ti5Cr7O36 at its relaxed geometry (PBE+U, Materials Project).

Structure (POSCAR):
```
Li24Ti5Cr7O36
1.0
5.049 0.000 0.000
2.524 4.386 0.000
0.140 0.097 28.935
Li Ti Cr O
24 5 7 36
direct
0.000 0.000 0.000
0.000 0.000 0.500
0.001 0.342 0.166
0.001 0.671 0.333
0.001 0.677 0.833
0.351 0.986 0.833
0.355 0.656 0.166
0.356 0.328 0.000
0.357 0.991 0.333
0.358 0.663 0.666
0.359 0.327 0.500
0.665 0.669 0.500
0.668 0.001 0.166
0.668 0.335 0.333
0.672 0.334 0.583
0.673 0.001 0.666
0.673 0.665 0.000
0.674 0.334 0.083
0.674 0.663 0.750
0.676 0.332 0.833
0.677 0.665 0.250
0.678 0.001 0.916
0.678 0.999 0.416
0.997 0.332 0.666
0.007 0.001 0.250
0.008 0.329 0.416
0.009 0.329 0.916
0.014 0.662 0.583
0.343 0.335 0.750
0.006 0.671 0.083
0.009 0.996 0.749
0.338 0.001 0.583
0.339 0.332 0.250
0.339 0.998 0.083
0.342 0.667 0.416
0.343 0.667 0.917
0.029 0.002 0.879
0.029 0.676 0.712
0.030 0.002 0.378
0.030 0.305 0.787
0.033 0.308 0.287
0.036 0.643 0.454
0.036 0.661 0.212
0.036 0.968 0.121
0.037 0.642 0.954
0.038 0.978 0.621
0.039 0.323 0.545
0.041 0.329 0.046
0.314 0.335 0.120
0.316 0.020 0.712
0.319 0.335 0.621
0.320 0.685 0.545
0.322 0.025 0.212
0.322 0.359 0.379
0.322 0.359 0.879
0.322 0.661 0.287
0.322 0.690 0.045
0.323 0.661 0.788
0.324 0.988 0.454
0.324 0.988 0.954
0.668 0.644 0.378
0.668 0.644 0.878
0.669 0.695 0.121
0.670 0.026 0.288
0.671 0.692 0.621
0.672 0.976 0.545
0.673 0.312 0.711
0.676 0.310 0.211
0.679 0.351 0.455
0.680 0.351 0.956
0.682 0.966 0.045
0.684 0.019 0.788
```

Output
Formation enthalpy at 0 K ... -182.699 eV per formula unit
SG ... P1 (1)
ΔE to the lowest computed polymorph ... 5.7 meV/atom

2.
# Li4TiCrO6

Crystalline Li4TiCrO6 at its relaxed geometry (PBE+U, Materials Project).

Structure (POSCAR):
```
Li4TiCrO6
1.0
5.066 0.000 0.000
-0.032 8.769 0.000
-0.808 -1.477 9.652
Li Ti Cr O
16 4 4 24
direct
0.000 0.000 0.000
0.001 0.328 0.999
0.006 0.656 0.998
0.128 0.454 0.749
0.241 0.245 0.498
0.252 0.577 0.500
0.264 0.911 0.499
0.380 0.704 0.249
0.497 0.829 0.999
0.500 0.499 0.000
0.510 0.158 0.999
0.628 0.952 0.749
0.746 0.746 0.500
0.747 0.079 0.499
0.764 0.411 0.499
0.880 0.204 0.249
0.126 0.116 0.749
0.376 0.368 0.249
0.624 0.290 0.748
0.874 0.868 0.248
0.128 0.781 0.749
0.379 0.037 0.249
0.629 0.626 0.750
0.880 0.538 0.250
0.039 0.717 0.361
0.078 0.399 0.366
0.079 0.044 0.361
0.173 0.507 0.135
0.184 0.864 0.137
0.214 0.186 0.135
0.288 0.968 0.861
0.318 0.654 0.863
0.324 0.294 0.863
0.431 0.112 0.635
0.438 0.752 0.635
0.467 0.438 0.637
0.539 0.217 0.361
0.577 0.899 0.365
0.580 0.544 0.361
0.673 0.007 0.135
0.685 0.365 0.137
0.713 0.686 0.134
0.789 0.476 0.861
0.818 0.791 0.862
0.824 0.151 0.865
0.931 0.255 0.633
0.938 0.617 0.637
0.967 0.930 0.637
```

Output
Formation enthalpy at 0 K ... -31.261 eV per formula unit
SG ... P1 (1)
ΔE to the lowest computed polymorph ... 0.8 meV/atom

3.
# Li24TiCr11O36

Crystalline Li24TiCr11O36 at its relaxed geometry (PBE+U, Materials Project).

Structure (POSCAR):
```
Li24TiCr11O36
1.0
7.583 -4.358 0.000
7.583 4.358 0.000
-1.602 0.000 9.626
Li Ti Cr O
24 1 11 36
direct
0.000 0.000 0.000
0.078 0.753 0.750
0.082 0.085 0.750
0.088 0.411 0.751
0.166 0.166 0.500
0.247 0.922 0.250
0.251 0.250 0.250
0.256 0.575 0.250
0.333 0.333 0.000
0.411 0.086 0.749
0.416 0.419 0.749
0.425 0.744 0.750
0.501 0.499 0.500
0.577 0.255 0.251
0.581 0.584 0.251
0.589 0.912 0.249
0.667 0.667 0.000
0.745 0.423 0.749
0.750 0.749 0.750
0.757 0.078 0.749
0.834 0.834 0.500
0.914 0.589 0.251
0.915 0.918 0.250
0.922 0.243 0.251
0.168 0.832 0.500
0.002 0.659 0.001
0.169 0.497 0.498
0.326 0.674 0.000
0.341 0.998 0.999
0.501 0.161 0.495
0.503 0.831 0.502
0.661 0.339 0.000
0.671 0.002 0.001
0.828 0.172 0.500
0.839 0.499 0.505
0.998 0.329 0.999
0.033 0.036 0.385
0.039 0.395 0.389
0.058 0.700 0.387
0.106 0.465 0.112
0.131 0.135 0.113
0.136 0.772 0.113
0.195 0.562 0.887
0.205 0.197 0.885
0.228 0.864 0.887
0.274 0.628 0.613
0.300 0.942 0.613
0.301 0.299 0.612
0.370 0.368 0.383
0.372 0.726 0.387
0.391 0.038 0.387
0.438 0.805 0.113
0.464 0.467 0.114
0.469 0.105 0.111
0.533 0.536 0.886
0.535 0.894 0.888
0.563 0.205 0.887
0.605 0.961 0.611
0.632 0.630 0.617
0.635 0.271 0.611
0.698 0.060 0.386
0.701 0.699 0.388
0.729 0.365 0.389
0.773 0.129 0.112
0.795 0.437 0.113
0.803 0.795 0.115
0.865 0.869 0.887
0.871 0.227 0.888
0.895 0.531 0.889
0.940 0.302 0.614
0.962 0.609 0.613
0.964 0.967 0.615
```

Output
Formation enthalpy at 0 K ... -165.209 eV per formula unit
SG ... C2 (5)
ΔE to the lowest computed polymorph ... 2.6 meV/atom